# 1
Here is an optimized crystal structure of Ba2Sb2O5 from the Materials Project. Energies are from GGA-PBE.

abc: 6.461 8.204 14.737
angles: 90.00 90.00 90.00
Positions (direct):
Ba  0.750  0.375  0.927
Ba  0.250  0.875  0.573
Ba  0.250  0.625  0.073
Ba  0.750  0.625  0.431
Ba  0.750  0.125  0.427
Ba  0.250  0.375  0.569
Ba  0.250  0.125  0.069
Ba  0.750  0.875  0.931
O  0.526  0.620  0.593
O  0.026  0.380  0.407
O  0.475  0.630  0.908
O  0.026  0.120  0.907
O  0.975  0.130  0.592
O  0.525  0.130  0.592
O  0.474  0.380  0.407
O  0.025  0.630  0.908
O  0.975  0.370  0.092
O  0.974  0.620  0.593
O  0.025  0.870  0.408
O  0.974  0.880  0.093
O  0.474  0.120  0.907
O  0.250  0.875  0.780
O  0.250  0.625  0.280
O  0.750  0.125  0.220
O  0.750  0.375  0.720
O  0.525  0.370  0.092
O  0.526  0.880  0.093
O  0.475  0.870  0.408
Sb  0.750  0.365  0.181
Sb  0.250  0.115  0.818
Sb  0.250  0.865  0.319
Sb  0.750  0.135  0.681
Sb  0.250  0.635  0.819
Sb  0.750  0.885  0.182
Sb  0.750  0.615  0.682
Sb  0.250  0.385  0.318

Properties
* polymorph energy (0 for the lowest one): 0.000 eV per atom
* energy relative to the elements: -2.489 eV/atom
* energy with MP2020 corrections: -6.58 eV/atom
* space-group type: Pnma, No. 62



# 2
Here is an optimized crystal structure of LiMg2 from the Materials Project. Energies are from GGA-PBE.

abc: 8.438 8.438 5.014
angles: 90.00 90.00 158.47
Positions (direct):
Li  0.111  0.889  0.500
Li  0.777  0.223  0.500
Mg  0.667  0.333  0.000
Mg  0.445  0.555  0.500
Mg  0.332  0.668  0.000
Mg  0.001  0.999  0.000

Properties
* energy relative to the elements: -0.046 eV/atom
* space-group type: Amm2, No. 38



# 3
Here is an optimized crystal structure of Ca5Al12Si12Ag2O48 from the Materials Project. Energies are from GGA-PBE.

abc: 12.175 12.181 12.929
angles: 89.53 89.46 89.80
Positions (direct):
Si  0.634  0.189  0.994
Si  0.633  0.812  0.000
Si  0.812  0.635  0.999
Si  0.998  0.375  0.822
Si  0.814  0.372  0.999
Si  0.811  0.003  0.622
Si  0.187  0.372  0.992
Si  0.189  0.635  0.994
Si  0.369  0.815  0.996
Si  0.370  0.187  0.992
Si  0.007  0.811  0.624
Si  0.372  0.997  0.822
O  0.878  0.678  0.101
O  0.893  0.893  0.634
O  0.995  0.731  0.269
O  0.113  0.666  0.897
O  0.115  0.877  0.650
O  0.874  0.325  0.102
O  0.002  0.500  0.190
O  0.502  0.793  0.001
O  0.792  0.503  0.003
O  0.500  0.004  0.190
O  0.340  0.893  0.899
O  0.502  0.214  0.998
O  0.678  0.126  0.099
O  0.120  0.877  0.362
O  0.112  0.112  0.654
O  0.125  0.323  0.095
O  0.876  0.122  0.366
O  0.677  0.876  0.103
O  0.747  0.002  0.513
O  0.116  0.116  0.363
O  0.993  0.501  0.792
O  0.326  0.875  0.102
O  0.696  0.309  0.988
O  0.876  0.116  0.646
O  0.876  0.876  0.371
O  0.344  0.111  0.891
O  0.670  0.119  0.892
O  0.303  0.303  0.976
O  0.128  0.677  0.102
O  0.002  0.749  0.514
O  0.501  0.995  0.796
O  0.296  0.001  0.724
O  0.111  0.346  0.890
O  0.264  0.000  0.262
O  0.990  0.291  0.728
O  0.970  0.726  0.718
O  0.726  0.973  0.720
O  0.874  0.675  0.893
O  0.689  0.689  0.000
O  0.324  0.126  0.097
O  0.997  0.260  0.505
O  0.733  0.999  0.267
O  0.890  0.342  0.898
O  0.999  0.263  0.262
O  0.257  0.996  0.505
O  0.308  0.696  0.989
O  0.215  0.502  0.001
O  0.677  0.876  0.895
Ca  0.816  0.814  0.222
Ca  0.187  0.816  0.217
Ca  0.817  0.184  0.218
Ca  0.804  0.801  0.771
Ca  0.180  0.179  0.216
Al  0.000  0.804  0.389
Al  0.001  0.197  0.624
Al  0.003  0.636  0.168
Al  0.194  0.998  0.388
Al  0.804  0.000  0.389
Al  0.364  0.001  0.166
Al  0.637  0.997  0.824
Al  0.998  0.196  0.388
Al  0.636  0.001  0.168
Al  0.000  0.639  0.823
Al  0.002  0.364  0.166
Al  0.196  0.995  0.626
Ag  0.807  0.201  0.790
Ag  0.197  0.190  0.785

Properties
* size of the total moment: 0.0 μB per cell
* energy relative to the elements: -3.179 eV/atom
* energy with MP2020 corrections: -7.78 eV/atom
* space-group type: P1, No. 1



# 4
Here is an optimized crystal structure of Pr3Hf from the Materials Project. Energies are from GGA-PBE.

abc: 5.030 5.030 5.030
angles: 90.00 90.00 90.00
Positions (direct):
Pr  0.500  0.500  0.000
Pr  0.500  0.000  0.500
Pr  0.000  0.500  0.500
Hf  0.000  0.000  0.000

Properties
* size of the total moment: 0.0 μB per cell
* energy relative to the elements: 0.213 eV/atom
* space-group type: Pm-3m, No. 221



# 5
Here is an optimized crystal structure of RbCr5S8 from the Materials Project. Energies are from GGA-PBE.

abc: 3.467 8.753 9.031
angles: 104.43 101.07 90.00
Positions (direct):
S  0.914  0.163  0.829
S  0.829  0.514  0.657
S  0.426  0.851  0.852
S  0.238  0.155  0.475
S  0.090  0.827  0.180
S  0.574  0.161  0.147
S  0.172  0.483  0.344
S  0.759  0.846  0.517
Cr  0.006  0.998  0.013
Cr  0.705  0.327  0.410
Cr  0.295  0.665  0.590
Cr  0.654  0.989  0.307
Cr  0.341  0.021  0.681
Rb  0.499  0.499  0.998

Properties
* polymorph energy (0 for the lowest one): 0.037 eV per atom
* size of the total moment: 11.0 μB per cell
* energy relative to the elements: -1.054 eV/atom
* energy with MP2020 corrections: -6.94 eV/atom
* space-group type: Cm, No. 8
* piezoelectric modulus e_max: 0.1 C/m²



# 6
Here is an optimized crystal structure of Li3Cu3P2O8 from the Materials Project. Energies are from GGA-PBE.

abc: 5.449 6.223 10.199
angles: 89.95 89.90 89.49
Positions (direct):
Cu  0.666  0.738  0.254
Cu  0.342  0.240  0.498
Cu  0.818  0.501  0.003
Cu  0.333  0.753  0.001
Cu  0.342  0.759  0.501
Cu  0.662  0.744  0.756
O  0.899  0.485  0.799
O  0.092  0.000  0.561
O  0.321  0.289  0.298
O  0.678  0.205  0.056
O  0.177  0.490  0.098
O  0.908  0.485  0.306
O  0.831  0.013  0.848
O  0.316  0.295  0.804
O  0.700  0.792  0.547
O  0.097  0.016  0.056
O  0.297  0.706  0.297
O  0.292  0.708  0.798
O  0.700  0.803  0.051
O  0.165  0.495  0.598
O  0.696  0.209  0.558
O  0.835  0.013  0.349
Li  0.671  0.253  0.754
Li  0.154  0.999  0.254
Li  0.327  0.250  0.003
Li  0.153  0.000  0.753
Li  0.674  0.254  0.253
Li  0.848  0.500  0.504
P  0.828  0.005  0.501
P  0.175  0.493  0.250
P  0.830  0.011  0.001
P  0.171  0.494  0.750

Properties
* polymorph energy (0 for the lowest one): 0.015 eV per atom
* size of the total moment: 0.0 μB per cell
* energy relative to the elements: -2.062 eV/atom
* energy with MP2020 corrections: -6.34 eV/atom
* space-group type: P1, No. 1



# 7
Here is an optimized crystal structure of BaSr2In2O6 from the Materials Project. Energies are from GGA-PBE.

abc: 10.919 10.919 10.919
angles: 157.87 157.87 31.50
Positions (direct):
Sr  0.682  0.682  0.000
Sr  0.501  0.501  0.000
O  0.923  0.423  0.500
O  0.423  0.923  0.500
O  0.579  0.079  0.500
O  0.799  0.799  0.000
O  0.197  0.197  0.000
O  0.079  0.579  0.500
In  0.098  0.098  0.000
In  0.901  0.901  0.000
Ba  0.317  0.317  0.000

Properties
* size of the total moment: 0.0 μB per cell
* energy relative to the elements: -2.536 eV/atom
* energy with MP2020 corrections: -6.22 eV/atom
* space-group type: I4mm, No. 107



# 8
Here is an optimized crystal structure of Rb3AsCl6 from the Materials Project. Energies are from GGA-PBE.

abc: 7.922 7.922 7.922
angles: 60.00 60.00 60.00
Positions (direct):
Cl  0.224  0.776  0.224
Cl  0.776  0.776  0.224
Cl  0.776  0.224  0.776
Cl  0.224  0.776  0.776
Cl  0.224  0.224  0.776
Cl  0.776  0.224  0.224
As  0.000  0.000  0.000
Rb  0.250  0.250  0.250
Rb  0.500  0.500  0.500
Rb  0.750  0.750  0.750

Properties
* size of the total moment: 0.0 μB per cell
* energy relative to the elements: -1.786 eV/atom
* energy with MP2020 corrections: -3.66 eV/atom
* space-group type: Fm-3m, No. 225